# 1
SnHC2O3: relaxed, GGA-PBE.

Output
Its symmetry is C2/m, No. 12. The magnetization is 0.0000 μB/atom. The value obtained for the energy of formation from the pure elements is -1137 meV/atom. For the final energy, the calculation gives -186.42 eV for the cell shown. As for the volume: 13.28 Å³/atom.

abc: 7.636 7.636 8.463
angles: 63.02 63.02 62.83
Atoms (fractional coordinates):
Sn1 0.196 0.196 0.155
Sn2 0.804 0.804 0.845
Sn3 0.290 0.710 0.000
Sn4 0.710 0.290 0.000
H1 0.011 0.219 0.540
H2 0.219 0.011 0.540
H3 0.989 0.781 0.460
H4 0.781 0.989 0.460
C1 0.776 0.592 0.322
C2 0.592 0.776 0.322
C3 0.224 0.408 0.678
C4 0.408 0.224 0.678
C5 0.710 0.525 0.527
C6 0.525 0.710 0.527
C7 0.290 0.475 0.473
C8 0.475 0.290 0.473
O1 0.926 0.527 0.192
O2 0.527 0.926 0.192
O3 0.074 0.473 0.808
O4 0.473 0.074 0.808
O5 0.785 0.369 0.649
O6 0.369 0.785 0.649
O7 0.215 0.631 0.351
O8 0.631 0.215 0.351
O9 0.151 0.151 0.462
O10 0.849 0.849 0.538
O11 0.383 0.383 0.047
O12 0.617 0.617 0.953

---

# 2
SrH2C2O4: relaxed, GGA-PBE.

Output
Its symmetry is P2_12_12_1, No. 19. The value obtained for the maximum piezoelectric response is 0.14 C/m2. The magnetization is 0.0000 μB/atom. The value obtained for the energy of formation from the pure elements is -1794 meV/atom. Its offset from the most stable computed form is 0 meV per atom. For the final energy, the calculation gives -240.50 eV for the cell shown. As for the volume: 12.71 Å³/atom.

abc: 7.001 7.385 8.847
angles: 90.00 90.00 90.00
Atoms (fractional coordinates):
Sr1 0.004 0.241 0.665
Sr2 0.996 0.741 0.835
Sr3 0.504 0.259 0.335
Sr4 0.496 0.759 0.165
H1 0.472 0.004 0.779
H2 0.710 0.206 0.989
H3 0.528 0.504 0.721
H4 0.028 0.996 0.279
H5 0.972 0.496 0.221
H6 0.790 0.794 0.489
H7 0.290 0.706 0.511
H8 0.210 0.294 0.011
C1 0.386 0.443 0.699
C2 0.886 0.057 0.301
C3 0.230 0.145 0.008
C4 0.270 0.855 0.508
C5 0.770 0.645 0.492
C6 0.114 0.557 0.199
C7 0.614 0.943 0.801
C8 0.730 0.355 0.992
O1 0.155 0.922 0.604
O2 0.744 0.997 0.227
O3 0.845 0.422 0.896
O4 0.256 0.497 0.273
O5 0.126 0.685 0.103
O6 0.362 0.941 0.408
O7 0.374 0.315 0.603
O8 0.626 0.815 0.897
O9 0.862 0.559 0.592
O10 0.874 0.185 0.397
O11 0.756 0.003 0.727
O12 0.138 0.059 0.908
O13 0.345 0.078 0.104
O14 0.655 0.578 0.396
O15 0.638 0.441 0.092
O16 0.244 0.503 0.773

---

# 3
SrH2C2O4: relaxed, GGA-PBE.

Output
Its symmetry is P4_12_12, No. 92. The magnetization is 0.0000 μB/atom. The value obtained for the energy of formation from the pure elements is -1783 meV/atom. Its offset from the most stable computed form is 11 meV per atom. For the final energy, the calculation gives -240.09 eV for the cell shown. As for the volume: 15.28 Å³/atom.

abc: 7.222 7.222 10.544
angles: 90.00 90.00 90.00
Atoms (fractional coordinates):
Sr1 0.766 0.234 0.250
Sr2 0.234 0.766 0.750
Sr3 0.734 0.734 0.000
Sr4 0.266 0.266 0.500
H1 0.802 0.145 0.634
H2 0.198 0.855 0.134
H3 0.645 0.698 0.384
H4 0.355 0.302 0.884
H5 0.855 0.198 0.866
H6 0.145 0.802 0.366
H7 0.698 0.645 0.616
H8 0.302 0.355 0.116
C1 0.776 0.227 0.546
C2 0.224 0.773 0.046
C3 0.727 0.724 0.296
C4 0.273 0.276 0.796
C5 0.773 0.224 0.954
C6 0.227 0.776 0.454
C7 0.724 0.727 0.704
C8 0.276 0.273 0.204
O1 0.916 0.265 0.477
O2 0.084 0.735 0.977
O3 0.765 0.584 0.227
O4 0.235 0.416 0.727
O5 0.735 0.084 0.023
O6 0.265 0.916 0.523
O7 0.584 0.765 0.773
O8 0.416 0.235 0.273
O9 0.613 0.272 0.520
O10 0.387 0.728 0.020
O11 0.772 0.887 0.270
O12 0.228 0.113 0.770
O13 0.728 0.387 0.980
O14 0.272 0.613 0.480
O15 0.887 0.772 0.730
O16 0.113 0.228 0.230

---

# 4
SrH3C3O7: relaxed, GGA-PBE.

Output
Its symmetry is P2_1/c, No. 14. The magnetization is 0.0000 μB/atom. The value obtained for the energy of formation from the pure elements is -1798 meV/atom. For the final energy, the calculation gives -378.20 eV for the cell shown. As for the volume: 11.24 Å³/atom.

abc: 17.048 5.806 8.069
angles: 52.02 90.00 90.00
Atoms (fractional coordinates):
Sr1 0.082 0.857 0.379
Sr2 0.418 0.857 0.879
Sr3 0.918 0.143 0.621
Sr4 0.582 0.143 0.121
H1 0.431 0.244 0.282
H2 0.069 0.244 0.782
H3 0.569 0.756 0.718
H4 0.931 0.756 0.218
H5 0.396 0.173 0.129
H6 0.104 0.173 0.629
H7 0.604 0.827 0.871
H8 0.896 0.827 0.371
H9 0.254 0.356 0.645
H10 0.246 0.356 0.145
H11 0.746 0.644 0.355
H12 0.754 0.644 0.855
C1 0.262 0.946 0.130
C2 0.238 0.946 0.630
C3 0.738 0.054 0.870
C4 0.762 0.054 0.370
C5 0.982 0.509 0.085
C6 0.518 0.509 0.585
C7 0.018 0.491 0.915
C8 0.482 0.491 0.415
C9 0.221 0.688 0.151
C10 0.279 0.688 0.651
C11 0.779 0.312 0.849
C12 0.721 0.312 0.349
O1 0.270 0.541 0.119
O2 0.230 0.541 0.619
O3 0.730 0.459 0.881
O4 0.770 0.459 0.381
O5 0.219 0.079 0.175
O6 0.281 0.079 0.675
O7 0.781 0.921 0.825
O8 0.719 0.921 0.325
O9 0.936 0.714 0.359
O10 0.564 0.714 0.859
O11 0.064 0.286 0.641
O12 0.436 0.286 0.141
O13 0.992 0.293 0.277
O14 0.508 0.293 0.777
O15 0.008 0.707 0.723
O16 0.492 0.707 0.223
O17 0.333 0.996 0.074
O18 0.167 0.996 0.574
O19 0.667 0.004 0.926
O20 0.833 0.004 0.426
O21 0.945 0.743 0.017
O22 0.555 0.743 0.517
O23 0.055 0.257 0.983
O24 0.445 0.257 0.483
O25 0.151 0.632 0.197
O26 0.349 0.632 0.697
O27 0.849 0.368 0.803
O28 0.651 0.368 0.303

---

# 5
TbHC3O6: relaxed, GGA-PBE.

Output
Its symmetry is Pnma, No. 62. The magnetization is 0.0000 μB/atom. The value obtained for the energy of formation from the pure elements is -2056 meV/atom. For the final energy, the calculation gives -335.57 eV for the cell shown. As for the volume: 11.46 Å³/atom.

abc: 6.622 7.174 10.620
angles: 90.00 90.00 90.00
Atoms (fractional coordinates):
Tb1 0.867 0.697 0.750
Tb2 0.633 0.197 0.750
Tb3 0.133 0.303 0.250
Tb4 0.367 0.803 0.250
H1 0.117 0.271 0.750
H2 0.383 0.771 0.750
H3 0.883 0.729 0.250
H4 0.617 0.229 0.250
C1 0.129 0.119 0.750
C2 0.371 0.619 0.750
C3 0.871 0.881 0.250
C4 0.629 0.381 0.250
C5 0.048 0.594 0.479
C6 0.452 0.094 0.021
C7 0.952 0.406 0.979
C8 0.548 0.906 0.521
C9 0.952 0.406 0.521
C10 0.548 0.906 0.979
C11 0.048 0.594 0.021
C12 0.452 0.094 0.479
O1 0.962 0.027 0.750
O2 0.538 0.527 0.750
O3 0.038 0.973 0.250
O4 0.462 0.473 0.250
O5 0.302 0.047 0.750
O6 0.198 0.547 0.750
O7 0.698 0.953 0.250
O8 0.802 0.453 0.250
O9 0.021 0.734 0.547
O10 0.479 0.234 0.953
O11 0.979 0.266 0.047
O12 0.521 0.766 0.453
O13 0.979 0.266 0.453
O14 0.521 0.766 0.047
O15 0.021 0.734 0.953
O16 0.479 0.234 0.547
O17 0.148 0.589 0.376
O18 0.352 0.089 0.124
O19 0.852 0.411 0.876
O20 0.648 0.911 0.624
O21 0.852 0.411 0.624
O22 0.648 0.911 0.876
O23 0.148 0.589 0.124
O24 0.352 0.089 0.376

---

# 6
TbH7C4O11: relaxed, GGA-PBE.

Output
Its symmetry is P4_2/n, No. 86. The magnetization is 0.0000 μB/atom. The value obtained for the energy of formation from the pure elements is -1715 meV/atom. For the final energy, the calculation gives -606.49 eV for the cell shown. As for the volume: 11.05 Å³/atom.

abc: 8.839 8.839 13.009
angles: 90.00 90.00 90.00
Atoms (fractional coordinates):
Tb1 0.000 0.500 0.965
Tb2 0.000 0.500 0.465
Tb3 0.500 0.000 0.535
Tb4 0.500 0.000 0.035
H1 0.000 0.000 0.736
H2 0.500 0.500 0.236
H3 0.500 0.500 0.764
H4 0.000 0.000 0.264
H5 0.024 0.197 0.683
H6 0.976 0.803 0.683
H7 0.697 0.476 0.183
H8 0.303 0.524 0.183
H9 0.476 0.303 0.817
H10 0.524 0.697 0.817
H11 0.803 0.024 0.317
H12 0.197 0.976 0.317
H13 0.936 0.187 0.796
H14 0.064 0.813 0.796
H15 0.687 0.564 0.296
H16 0.313 0.436 0.296
H17 0.564 0.313 0.704
H18 0.436 0.687 0.704
H19 0.813 0.936 0.204
H20 0.187 0.064 0.204
H21 0.089 0.512 0.732
H22 0.911 0.488 0.732
H23 0.012 0.411 0.232
H24 0.988 0.589 0.232
H25 0.411 0.988 0.768
H26 0.589 0.012 0.768
H27 0.488 0.089 0.268
H28 0.512 0.911 0.268
C1 0.282 0.275 0.951
C2 0.718 0.725 0.951
C3 0.775 0.218 0.451
C4 0.225 0.782 0.451
C5 0.218 0.225 0.549
C6 0.782 0.775 0.549
C7 0.725 0.282 0.049
C8 0.275 0.718 0.049
C9 0.207 0.226 0.053
C10 0.793 0.774 0.053
C11 0.726 0.293 0.553
C12 0.274 0.707 0.553
C13 0.293 0.274 0.447
C14 0.707 0.726 0.447
C15 0.774 0.207 0.947
C16 0.226 0.793 0.947
O1 0.965 0.132 0.731
O2 0.035 0.868 0.731
O3 0.632 0.535 0.231
O4 0.368 0.465 0.231
O5 0.535 0.368 0.769
O6 0.465 0.632 0.769
O7 0.868 0.965 0.269
O8 0.132 0.035 0.269
O9 0.000 0.500 0.776
O10 0.000 0.500 0.276
O11 0.500 0.000 0.724
O12 0.500 0.000 0.224
O13 0.219 0.378 0.901
O14 0.781 0.622 0.901
O15 0.878 0.281 0.401
O16 0.122 0.719 0.401
O17 0.281 0.122 0.599
O18 0.719 0.878 0.599
O19 0.622 0.219 0.099
O20 0.378 0.781 0.099
O21 0.404 0.207 0.926
O22 0.596 0.793 0.926
O23 0.707 0.096 0.426
O24 0.293 0.904 0.426
O25 0.096 0.293 0.574
O26 0.904 0.707 0.574
O27 0.793 0.404 0.074
O28 0.207 0.596 0.074
O29 0.268 0.115 0.100
O30 0.732 0.885 0.100
O31 0.615 0.232 0.600
O32 0.385 0.768 0.600
O33 0.232 0.385 0.400
O34 0.768 0.615 0.400
O35 0.885 0.268 0.900
O36 0.115 0.732 0.900
O37 0.091 0.298 0.082
O38 0.909 0.702 0.082
O39 0.798 0.409 0.582
O40 0.202 0.591 0.582
O41 0.409 0.202 0.418
O42 0.591 0.798 0.418
O43 0.702 0.091 0.918
O44 0.298 0.909 0.918

---

# 7
TbH3C3O6: relaxed, GGA-PBE.

Output
Its symmetry is R3m, No. 160. The value obtained for the maximum piezoelectric response is 0.33 C/m2. The magnetization is 0.0001 μB/atom. The value obtained for the energy of formation from the pure elements is -1754 meV/atom. For the final energy, the calculation gives -90.87 eV for the cell shown. As for the volume: 9.72 Å³/atom.

abc: 6.196 6.196 6.196
angles: 115.54 115.54 115.54
Atoms (fractional coordinates):
Tb1 0.000 0.000 0.000
H1 0.360 0.845 0.360
H2 0.360 0.360 0.845
H3 0.845 0.360 0.360
C1 0.606 0.146 0.606
C2 0.606 0.606 0.146
C3 0.146 0.606 0.606
O1 0.886 0.283 0.886
O2 0.886 0.886 0.283
O3 0.283 0.886 0.886
O4 0.587 0.336 0.587
O5 0.587 0.587 0.336
O6 0.336 0.587 0.587

---

# 8
ThH4C4O10: relaxed, GGA-PBE.

Output
Its symmetry is C2/c, No. 15. The magnetization is 0.0001 μB/atom. The value obtained for the energy of formation from the pure elements is -1886 meV/atom. For the final energy, the calculation gives -272.69 eV for the cell shown. As for the volume: 11.97 Å³/atom.

abc: 6.927 6.927 9.735
angles: 89.86 89.86 76.94
Atoms (fractional coordinates):
Th1 0.753 0.247 0.250
Th2 0.247 0.753 0.750
H1 0.363 0.085 0.212
H2 0.915 0.637 0.288
H3 0.637 0.915 0.788
H4 0.085 0.363 0.712
H5 0.484 0.921 0.316
H6 0.079 0.516 0.184
H7 0.516 0.079 0.684
H8 0.921 0.484 0.816
C1 0.904 0.972 0.975
C2 0.028 0.096 0.525
C3 0.096 0.028 0.025
C4 0.972 0.904 0.475
C5 0.404 0.496 0.038
C6 0.504 0.596 0.462
C7 0.596 0.504 0.962
C8 0.496 0.404 0.538
O1 0.487 0.042 0.263
O2 0.958 0.513 0.237
O3 0.513 0.958 0.737
O4 0.042 0.487 0.763
O5 0.423 0.399 0.150
O6 0.601 0.577 0.350
O7 0.577 0.601 0.850
O8 0.399 0.423 0.650
O9 0.757 0.415 0.015
O10 0.585 0.243 0.485
O11 0.243 0.585 0.985
O12 0.415 0.757 0.515
O13 0.087 0.114 0.141
O14 0.886 0.913 0.359
O15 0.913 0.886 0.859
O16 0.114 0.087 0.641
O17 0.755 0.016 0.052
O18 0.984 0.245 0.448
O19 0.245 0.984 0.948
O20 0.016 0.755 0.552